No. 1
This record from the Materials Project describes a geometry-optimized NdAl4Co structure. The functional is GGA-PBE.

Values from the calculation:
formation energy from the elements = -11.8 kcal/mol of atoms

The structure in CIF format:
```
data_NdAl4Co
_chemical_formula_sum 'Nd2 Al8 Co2'
_cell_length_a 7.690
_cell_length_b 4.036
_cell_length_c 6.884
_cell_angle_alpha 90.00
_cell_angle_beta 90.00
_cell_angle_gamma 90.00
_symmetry_space_group_name_H-M 'P m m a'
_symmetry_Int_Tables_number 51
_symmetry_space_group_name_Hall '-P 2a 2a'
loop_
_atom_site_label
_atom_site_type_symbol
_atom_site_fract_x
_atom_site_fract_y
_atom_site_fract_z
_atom_site_occupancy
Nd1 Nd 0.250 0.000 0.117 1
Al1 Al 0.000 0.000 0.500 1
Al2 Al 0.071 0.500 0.801 1
Al3 Al 0.250 0.500 0.458 1
Co1 Co 0.250 0.000 0.684 1
```

***

No. 2
This record from the Materials Project describes a geometry-optimized Nd7Al7Co6 structure. The functional is GGA-PBE.

Values from the calculation:
formation energy from the elements = -8.8 kcal/mol of atoms

The structure in CIF format:
```
data_Nd7Al7Co6
_chemical_formula_sum 'Nd14 Al14 Co12'
_cell_length_a 13.851
_cell_length_b 13.851
_cell_length_c 4.175
_cell_angle_alpha 90.00
_cell_angle_beta 90.00
_cell_angle_gamma 90.00
_symmetry_space_group_name_H-M 'P 4/m b m'
_symmetry_Int_Tables_number 127
_symmetry_space_group_name_Hall '-P 4 2ab'
loop_
_atom_site_label
_atom_site_type_symbol
_atom_site_fract_x
_atom_site_fract_y
_atom_site_fract_z
_atom_site_occupancy
Nd1 Nd 0.000 0.000 0.000 1
Nd2 Nd 0.048 0.261 0.000 1
Nd3 Nd 0.132 0.632 0.500 1
Al1 Al 0.000 0.500 0.000 1
Al2 Al 0.098 0.861 0.500 1
Al3 Al 0.214 0.286 0.500 1
Co1 Co 0.073 0.427 0.500 1
Co2 Co 0.165 0.788 0.000 1
```

***

No. 3
This record from the Materials Project describes a geometry-optimized Al18Co5Ni3 structure. The functional is GGA-PBE.

Values from the calculation:
formation energy from the elements = -11.1 kcal/mol of atoms

The structure in CIF format:
```
data_Al18Co5Ni3
_chemical_formula_sum 'Al36 Co10 Ni6'
_cell_length_a 12.146
_cell_length_b 4.063
_cell_length_c 15.199
_cell_angle_alpha 90.00
_cell_angle_beta 105.88
_cell_angle_gamma 90.00
_symmetry_space_group_name_H-M 'C 1 m 1'
_symmetry_Int_Tables_number 8
_symmetry_space_group_name_Hall 'C -2y'
loop_
_atom_site_label
_atom_site_type_symbol
_atom_site_fract_x
_atom_site_fract_y
_atom_site_fract_z
_atom_site_occupancy
Al1 Al 0.000 0.000 0.000 1
Al2 Al 0.000 0.000 0.498 1
Al3 Al 0.083 0.500 0.300 1
Al4 Al 0.085 0.500 0.798 1
Al5 Al 0.175 0.000 0.401 1
Al6 Al 0.177 0.000 0.903 1
Al7 Al 0.180 0.500 0.521 1
Al8 Al 0.181 0.500 0.021 1
Al9 Al 0.184 0.000 0.140 1
Al10 Al 0.185 0.000 0.640 1
Al11 Al 0.276 0.500 0.744 1
Al12 Al 0.277 0.500 0.245 1
Al13 Al 0.361 0.000 0.543 1
Al14 Al 0.362 0.000 0.043 1
Al15 Al 0.381 0.000 0.867 1
Al16 Al 0.385 0.000 0.367 1
Al17 Al 0.481 0.500 0.675 1
Al18 Al 0.482 0.500 0.178 1
Co1 Co 0.067 0.500 0.126 1
Co2 Co 0.068 0.500 0.627 1
Co3 Co 0.294 0.500 0.417 1
Co4 Co 0.294 0.500 0.916 1
Co5 Co 0.475 0.500 0.334 1
Ni1 Ni 0.386 0.000 0.207 1
Ni2 Ni 0.387 0.000 0.708 1
Ni3 Ni 0.475 0.500 0.834 1
```

***

No. 4
This record from the Materials Project describes a geometry-optimized AlCoNi6 structure. The functional is GGA-PBE.

Values from the calculation:
formation energy from the elements = -4.7 kcal/mol of atoms

The structure in CIF format:
```
data_AlCoNi6
_chemical_formula_sum 'Al1 Co1 Ni6'
_cell_length_a 3.523
_cell_length_b 3.523
_cell_length_c 7.073
_cell_angle_alpha 90.00
_cell_angle_beta 90.00
_cell_angle_gamma 90.00
_symmetry_space_group_name_H-M 'P 4/m m m'
_symmetry_Int_Tables_number 123
_symmetry_space_group_name_Hall '-P 4 2'
loop_
_atom_site_label
_atom_site_type_symbol
_atom_site_fract_x
_atom_site_fract_y
_atom_site_fract_z
_atom_site_occupancy
Al1 Al 0.000 0.000 0.000 1
Co1 Co 0.000 0.000 0.500 1
Ni1 Ni 0.000 0.500 0.256 1
Ni2 Ni 0.500 0.500 0.000 1
Ni3 Ni 0.500 0.500 0.500 1
```

***

No. 5
This record from the Materials Project describes a geometry-optimized PrAlCo4 structure. The functional is GGA-PBE.

Values from the calculation:
formation energy from the elements = -3.9 kcal/mol of atoms

The structure in CIF format:
```
data_PrAlCo4
_chemical_formula_sum 'Pr1 Al1 Co4'
_cell_length_a 5.1915
_cell_length_b 5.1915
_cell_length_c 3.8825
_cell_angle_alpha 90.00
_cell_angle_beta 90.00
_cell_angle_gamma 120.00
_symmetry_space_group_name_H-M 'P -6 m 2'
_symmetry_Int_Tables_number 187
_symmetry_space_group_name_Hall 'P -6 2'
loop_
_atom_site_label
_atom_site_type_symbol
_atom_site_fract_x
_atom_site_fract_y
_atom_site_fract_z
_atom_site_occupancy
Pr1 Pr 0.0000 0.0000 0.0000 1
Al1 Al 0.3333 0.6667 0.0000 1
Co1 Co 0.5041 0.0081 0.5000 1
Co2 Co 0.6667 0.3333 0.0000 1
```

***

No. 6
This record from the Materials Project describes a geometry-optimized Pr4AlCo25 structure. The functional is GGA-PBE.

Values from the calculation:
formation energy from the elements = 3.2 kcal/mol of atoms

The structure in CIF format:
```
data_Pr4AlCo25
_chemical_formula_sum 'Pr8 Al2 Co50'
_cell_length_a 4.894
_cell_length_b 42.803
_cell_length_c 3.994
_cell_angle_alpha 90.00
_cell_angle_beta 90.00
_cell_angle_gamma 90.00
_symmetry_space_group_name_H-M 'C m m m'
_symmetry_Int_Tables_number 65
_symmetry_space_group_name_Hall '-C 2 2'
loop_
_atom_site_label
_atom_site_type_symbol
_atom_site_fract_x
_atom_site_fract_y
_atom_site_fract_z
_atom_site_occupancy
Pr1 Pr 0.000 0.096 0.000 1
Pr2 Pr 0.000 0.301 0.000 1
Al1 Al 0.000 0.500 0.000 1
Co1 Co 0.000 0.000 0.500 1
Co2 Co 0.000 0.029 0.000 1
Co3 Co 0.000 0.164 0.000 1
Co4 Co 0.000 0.199 0.500 1
Co5 Co 0.000 0.233 0.000 1
Co6 Co 0.000 0.366 0.000 1
Co7 Co 0.000 0.402 0.500 1
Co8 Co 0.000 0.444 0.000 1
Co9 Co 0.244 0.453 0.500 1
Co10 Co 0.248 0.148 0.500 1
Co11 Co 0.250 0.250 0.500 1
```

***

No. 7
This record from the Materials Project describes a geometry-optimized Pr2Al3Co14 structure. The functional is GGA-PBE.

Values from the calculation:
formation energy from the elements = -3.3 kcal/mol of atoms

The structure in CIF format:
```
data_Pr2Al3Co14
_chemical_formula_sum 'Pr6 Al9 Co42'
_cell_length_a 8.4315
_cell_length_b 8.4315
_cell_length_c 12.3972
_cell_angle_alpha 90.00
_cell_angle_beta 90.00
_cell_angle_gamma 120.00
_symmetry_space_group_name_H-M 'R -3 m'
_symmetry_Int_Tables_number 166
_symmetry_space_group_name_Hall '-R 3 2"'
loop_
_atom_site_label
_atom_site_type_symbol
_atom_site_fract_x
_atom_site_fract_y
_atom_site_fract_z
_atom_site_occupancy
Pr1 Pr 0.0000 0.0000 0.1557 1
Al1 Al 0.0000 0.5000 0.0000 1
Co1 Co 0.0000 0.0000 0.4075 1
Co2 Co 0.0000 0.2866 0.5000 1
Co3 Co 0.0026 0.5013 0.6567 1
```

***

No. 8
This record from the Materials Project describes a geometry-optimized Pr2Al19Co6 structure. The functional is GGA-PBE.

Values from the calculation:
formation energy from the elements = -11.1 kcal/mol of atoms

The structure in CIF format:
```
data_Pr2Al19Co6
_chemical_formula_sum 'Pr8 Al76 Co24'
_cell_length_a 17.628
_cell_length_b 12.088
_cell_length_c 8.227
_cell_angle_alpha 90.00
_cell_angle_beta 103.96
_cell_angle_gamma 90.00
_symmetry_space_group_name_H-M 'C 1 2/m 1'
_symmetry_Int_Tables_number 12
_symmetry_space_group_name_Hall '-C 2y'
loop_
_atom_site_label
_atom_site_type_symbol
_atom_site_fract_x
_atom_site_fract_y
_atom_site_fract_z
_atom_site_occupancy
Pr1 Pr 0.220 0.000 0.228 1
Pr2 Pr 0.221 0.000 0.743 1
Al1 Al 0.000 0.331 0.000 1
Al2 Al 0.026 0.326 0.364 1
Al3 Al 0.052 0.117 0.155 1
Al4 Al 0.054 0.116 0.649 1
Al5 Al 0.082 0.500 0.648 1
Al6 Al 0.086 0.500 0.182 1
Al7 Al 0.137 0.175 0.944 1
Al8 Al 0.147 0.168 0.448 1
Al9 Al 0.163 0.387 0.953 1
Al10 Al 0.180 0.383 0.465 1
Al11 Al 0.248 0.251 0.762 1
Co1 Co 0.061 0.000 0.405 1
Co2 Co 0.062 0.000 0.906 1
Co3 Co 0.116 0.302 0.673 1
Co4 Co 0.120 0.301 0.189 1
```